No. 1
A plane-wave DFT calculation with PBE with a Hubbard U was carried out for crystalline Li2Fe3F8 at its relaxed geometry.

Properties
**Final energy**: -5.33 eV/atom
**Magnetization**: 24.0 μB per cell
**Formation enthalpy at 0 K**: -2.7124 eV/atom

Lattice parameters (Å, degrees): 5.3661 6.2121 9.7826 90.00 90.00 90.00
Atoms (fractional coordinates):
Li  0.9855  0.5000  0.6922
Li  0.5145  0.0000  0.1922
Li  0.4855  0.0000  0.8078
Li  0.0145  0.5000  0.3078
Fe  0.0000  0.7684  0.0000
Fe  0.0000  0.2316  0.0000
Fe  0.0000  0.0000  0.5000
Fe  0.5000  0.5000  0.0000
Fe  0.5000  0.7316  0.5000
Fe  0.5000  0.2684  0.5000
F  0.1520  0.5000  0.1161
F  0.1794  0.7584  0.3901
F  0.1794  0.2416  0.3901
F  0.1690  0.0000  0.1215
F  0.3310  0.5000  0.6215
F  0.3206  0.7416  0.8901
F  0.3206  0.2584  0.8901
F  0.3480  0.0000  0.6161
F  0.6520  0.0000  0.3839
F  0.6794  0.7416  0.1099
F  0.6794  0.2584  0.1099
F  0.6690  0.5000  0.3785
F  0.8310  0.0000  0.8785
F  0.8206  0.7584  0.6099
F  0.8206  0.2416  0.6099
F  0.8480  0.5000  0.8839

=====

No. 2
A plane-wave DFT calculation with PBE with a Hubbard U was carried out for crystalline SrCa7TiMn7O22 at its relaxed geometry.

Properties
**Final energy**: -7.09 eV/atom
**Magnetization**: 25.0 μB per cell
**Formation enthalpy at 0 K**: -2.6183 eV/atom

Lattice parameters (Å, degrees): 7.7054 7.7054 7.7115 89.93 89.93 90.67
Atoms (fractional coordinates):
Sr  0.2522  0.2522  0.2279
Ca  0.2540  0.2540  0.7400
Ca  0.2486  0.7430  0.2428
Ca  0.2597  0.7478  0.7335
Ca  0.7430  0.2486  0.2428
Ca  0.7478  0.2597  0.7335
Ca  0.7487  0.7487  0.2485
Ca  0.7492  0.7492  0.6951
Ti  0.9904  0.9904  0.9786
Mn  0.0013  0.0013  0.5026
Mn  0.9946  0.5036  0.0068
Mn  0.9996  0.5010  0.4970
Mn  0.5036  0.9946  0.0068
Mn  0.5010  0.9996  0.4970
Mn  0.5076  0.5076  0.9873
Mn  0.5014  0.5014  0.5086
O  0.9573  0.9573  0.7556
O  0.0315  0.4684  0.2535
O  0.9629  0.5350  0.7536
O  0.4684  0.0315  0.2535
O  0.5350  0.9629  0.7536
O  0.5395  0.5395  0.7514
O  0.2462  0.9963  0.9875
O  0.2494  0.9991  0.5373
O  0.2554  0.5045  0.9855
O  0.2528  0.5026  0.5286
O  0.7545  0.0012  0.0563
O  0.7549  0.0029  0.4535
O  0.7432  0.4972  0.0597
O  0.7453  0.4973  0.4564
O  0.9963  0.2462  0.9875
O  0.9991  0.2494  0.5373
O  0.0012  0.7545  0.0563
O  0.0029  0.7549  0.4535
O  0.5045  0.2554  0.9855
O  0.5026  0.2528  0.5286
O  0.4972  0.7432  0.0597
O  0.4973  0.7453  0.4564

=====

No. 3
A plane-wave DFT calculation with PBE with a Hubbard U was carried out for crystalline Li2Mn3NbO8 at its relaxed geometry.

Properties
**Final energy**: -7.33 eV/atom
**Magnetization**: 0.0 μB per cell
**Formation enthalpy at 0 K**: -2.2983 eV/atom

Lattice parameters (Å, degrees): 6.0283 10.7712 6.0282 90.00 120.00 73.75
Atoms (fractional coordinates):
Li  0.8742  0.1887  0.9371
Li  0.8742  0.6887  0.4371
Li  0.1258  0.3113  0.5629
Li  0.1258  0.8113  0.0629
Mn  0.5000  0.0000  0.5000
Mn  0.0000  0.0000  0.5000
Mn  0.5000  0.0000  0.0000
Mn  0.5000  0.5000  0.0000
Mn  0.0000  0.5000  0.0000
Mn  0.5000  0.5000  0.5000
Nb  0.5000  0.7500  0.7500
Nb  0.5000  0.2500  0.2500
O  0.7261  0.4108  0.8630
O  0.7261  0.9108  0.3630
O  0.2739  0.0892  0.6370
O  0.2739  0.5892  0.1369
O  0.7345  0.6281  0.0971
O  0.7345  0.1281  0.5971
O  0.2748  0.6281  0.6374
O  0.2749  0.1281  0.1374
O  0.7345  0.6281  0.6374
O  0.7345  0.1281  0.1374
O  0.2655  0.8719  0.8626
O  0.2655  0.3719  0.3626
O  0.7251  0.8719  0.8626
O  0.7252  0.3719  0.3626
O  0.2655  0.8719  0.4029
O  0.2655  0.3719  0.9029

=====

No. 4
A plane-wave DFT calculation with PBE with a Hubbard U was carried out for crystalline CaLa3Mn4O12 at its relaxed geometry.

Properties
**Final energy**: -7.79 eV/atom
**Magnetization**: 15.0 μB per cell
**Formation enthalpy at 0 K**: -2.8940 eV/atom

Lattice parameters (Å, degrees): 7.8519 5.5439 5.5462 89.45 90.00 90.00
Atoms (fractional coordinates):
Ca  0.0000  0.4924  0.4702
La  0.0000  0.0065  0.9723
La  0.5000  0.5060  0.5263
La  0.5000  0.9949  0.0281
Mn  0.2467  0.5002  0.0003
Mn  0.7537  0.0002  0.5001
Mn  0.7533  0.5002  0.0003
Mn  0.2463  0.0002  0.5001
O  0.2144  0.2182  0.2170
O  0.7897  0.2782  0.7188
O  0.7106  0.7797  0.7815
O  0.2915  0.7256  0.2783
O  0.2894  0.7797  0.7815
O  0.7085  0.7256  0.2783
O  0.7856  0.2182  0.2170
O  0.2103  0.2782  0.7188
O  0.0000  0.5730  0.0176
O  0.0000  0.9206  0.5132
O  0.5000  0.4310  0.9893
O  0.5000  0.0712  0.4910

=====

No. 5
A plane-wave DFT calculation with PBE with a Hubbard U was carried out for crystalline Rb3FeO3 at its relaxed geometry.

Properties
**Final energy**: -4.72 eV/atom
**Formation enthalpy at 0 K**: -1.5833 eV/atom

Lattice parameters (Å, degrees): 7.0163 7.7172 11.1788 84.44 90.00 90.00
Atoms (fractional coordinates):
Rb  0.3185  0.3567  0.0736
Rb  0.6283  0.9486  0.1526
Rb  0.8091  0.3642  0.1947
Rb  0.3091  0.6358  0.3053
Rb  0.1283  0.0514  0.3474
Rb  0.8185  0.6433  0.4264
Rb  0.1815  0.3567  0.5736
Rb  0.8717  0.9486  0.6526
Rb  0.6909  0.3642  0.6947
Rb  0.1909  0.6358  0.8053
Rb  0.3717  0.0514  0.8474
Rb  0.6815  0.6433  0.9264
Fe  0.0815  0.8461  0.0637
Fe  0.5815  0.1539  0.4363
Fe  0.4185  0.8461  0.5637
Fe  0.9185  0.1539  0.9363
O  0.3288  0.7586  0.0402
O  0.0489  0.0966  0.0932
O  0.9444  0.7037  0.1786
O  0.4444  0.2963  0.3214
O  0.5489  0.9034  0.4068
O  0.8288  0.2414  0.4598
O  0.1712  0.7586  0.5402
O  0.4511  0.0966  0.5932
O  0.5556  0.7037  0.6786
O  0.0556  0.2963  0.8214
O  0.9511  0.9034  0.9068
O  0.6712  0.2414  0.9598

=====

No. 6
A plane-wave DFT calculation with PBE with a Hubbard U was carried out for crystalline CaMg6CoO8 at its relaxed geometry.

Properties
**Final energy**: -5.94 eV/atom
**Magnetization**: 3.0 μB per cell
**Formation enthalpy at 0 K**: -2.7397 eV/atom

Lattice parameters (Å, degrees): 8.6270 4.3745 4.3745 90.00 90.00 90.00
Atoms (fractional coordinates):
Ca  0.0000  0.0000  0.0000
Mg  0.0000  0.5000  0.5000
Mg  0.5000  0.5000  0.5000
Mg  0.2575  0.0000  0.5000
Mg  0.7425  0.0000  0.5000
Mg  0.2575  0.5000  0.0000
Mg  0.7425  0.5000  0.0000
Co  0.5000  0.0000  0.0000
O  0.2634  0.0000  0.0000
O  0.7366  0.0000  0.0000
O  0.2507  0.5000  0.5000
O  0.7493  0.5000  0.5000
O  0.0000  0.0000  0.5000
O  0.5000  0.0000  0.5000
O  0.0000  0.5000  0.0000
O  0.5000  0.5000  0.0000

=====

No. 7
A plane-wave DFT calculation with PBE with a Hubbard U was carried out for crystalline CoNiP4O12 at its relaxed geometry.

Properties
**Final energy**: -6.87 eV/atom
**Magnetization**: 6.0 μB per cell
**Formation enthalpy at 0 K**: -2.3454 eV/atom

Lattice parameters (Å, degrees): 7.2677 7.2677 9.9828 66.99 66.99 70.31
Atoms (fractional coordinates):
Co  0.9456  0.0544  0.2500
Co  0.0544  0.9456  0.7500
Ni  0.5000  0.0000  0.5000
Ni  0.0000  0.5000  0.0000
P  0.3113  0.2971  0.1977
P  0.7029  0.6887  0.3023
P  0.6887  0.7029  0.8023
P  0.2971  0.3113  0.6977
P  0.7286  0.2539  0.9763
P  0.7461  0.2714  0.5237
P  0.2714  0.7461  0.0237
P  0.2539  0.7286  0.4763
O  0.3117  0.5344  0.1558
O  0.4656  0.6883  0.3442
O  0.6883  0.4656  0.8442
O  0.5344  0.3117  0.6558
O  0.5000  0.2170  0.0658
O  0.7830  0.5000  0.4342
O  0.5000  0.7830  0.9342
O  0.2170  0.5000  0.5658
O  0.3424  0.1913  0.3498
O  0.8087  0.6576  0.1502
O  0.6576  0.8087  0.6502
O  0.1913  0.3424  0.8498
O  0.1200  0.2861  0.1757
O  0.7139  0.8800  0.3243
O  0.8800  0.7139  0.8243
O  0.2861  0.1200  0.6757
O  0.8081  0.2927  0.0816
O  0.7073  0.1919  0.4184
O  0.1919  0.7073  0.9184
O  0.2927  0.8081  0.5816
O  0.8452  0.0870  0.9064
O  0.9130  0.1548  0.5936
O  0.1548  0.9130  0.0936
O  0.0870  0.8452  0.4064

=====

No. 8
A plane-wave DFT calculation with PBE with a Hubbard U was carried out for crystalline MgFe8O8F8 at its relaxed geometry.

Properties
**Final energy**: -5.98 eV/atom
**Magnetization**: 0.0 μB per cell
**Formation enthalpy at 0 K**: -2.1030 eV/atom

Lattice parameters (Å, degrees): 9.8817 9.7842 3.0957 90.08 89.92 89.53
Atoms (fractional coordinates):
Mg  0.5015  0.2537  0.0153
Fe  0.0177  0.9888  0.0048
Fe  0.9963  0.5123  0.0070
Fe  0.1813  0.2512  0.5067
Fe  0.2177  0.7362  0.5042
Fe  0.5268  0.5349  0.9984
Fe  0.5096  0.9608  0.0073
Fe  0.7704  0.2799  0.5122
Fe  0.7665  0.7315  0.5055
O  0.0814  0.4071  0.5068
O  0.0959  0.8984  0.5040
O  0.1372  0.1433  0.0062
O  0.1532  0.6457  0.0039
O  0.5772  0.3654  0.5143
O  0.6668  0.6675  0.0054
O  0.8428  0.3609  0.0118
O  0.9118  0.6092  0.5073
F  0.3208  0.3263  0.0099
F  0.3439  0.8476  0.9979
F  0.4370  0.1101  0.5085
F  0.3981  0.6123  0.4987
F  0.6227  0.8970  0.5064
F  0.6644  0.1398  0.0109
F  0.8519  0.8616  0.0051
F  0.9002  0.1016  0.5081

=====

No. 9
A plane-wave DFT calculation with PBE with a Hubbard U was carried out for crystalline Li3Cu2W4O16 at its relaxed geometry.

Properties
**Final energy**: -6.62 eV/atom
**Magnetization**: 1.0 μB per cell
**Formation enthalpy at 0 K**: -1.9728 eV/atom

Lattice parameters (Å, degrees): 5.9005 6.8744 8.1623 70.61 77.76 71.06
Atoms (fractional coordinates):
Li  0.9341  0.6539  0.1306
Li  0.0636  0.3474  0.8732
Li  0.4364  0.1441  0.6256
Cu  0.0019  0.4957  0.4985
Cu  0.5008  0.0052  0.0068
W  0.9689  0.0413  0.2986
W  0.4768  0.5488  0.7961
W  0.5267  0.4555  0.2028
W  0.0241  0.9523  0.6984
O  0.9807  0.7588  0.3209
O  0.1418  0.6382  0.7216
O  0.8525  0.3642  0.2804
O  0.5351  0.7352  0.1698
O  0.7180  0.4848  0.9415
O  0.8319  0.9123  0.9137
O  0.6745  0.5793  0.5915
O  0.3553  0.8614  0.7761
O  0.7764  0.0147  0.5582
O  0.2852  0.5152  0.0560
O  0.0389  0.2320  0.6808
O  0.2015  0.9938  0.4459
O  0.6505  0.1435  0.2115
O  0.3362  0.4021  0.4158
O  0.1638  0.0943  0.0862
O  0.4575  0.2656  0.8234

=====

No. 10
A plane-wave DFT calculation with PBE with a Hubbard U was carried out for crystalline MnOF at its relaxed geometry.

Properties
**Final energy**: -6.74 eV/atom
**Magnetization**: 32.0 μB per cell
**Formation enthalpy at 0 K**: -2.3374 eV/atom

Lattice parameters (Å, degrees): 4.6433 4.6408 12.6909 91.06 88.87 90.28
Atoms (fractional coordinates):
Mn  0.9891  0.9502  0.0031
Mn  0.0268  0.0297  0.2505
Mn  0.9748  0.9663  0.4983
Mn  0.0538  0.0089  0.7520
Mn  0.4785  0.5227  0.6251
Mn  0.5352  0.4609  0.1259
Mn  0.4719  0.5308  0.3745
Mn  0.4885  0.5109  0.8766
O  0.1693  0.8207  0.3737
O  0.1953  0.8229  0.6282
O  0.1933  0.7953  0.8812
O  0.3309  0.3153  0.2511
O  0.3191  0.3298  0.7490
O  0.6913  0.6568  0.0017
O  0.6577  0.6993  0.4976
O  0.8355  0.1717  0.1262
F  0.2313  0.7630  0.1276
F  0.2953  0.2532  0.0007
F  0.2541  0.2948  0.4987
F  0.7232  0.7260  0.2506
F  0.7238  0.7294  0.7495
F  0.7754  0.2296  0.3769
F  0.7783  0.2048  0.6149
F  0.8075  0.2068  0.8664

=====

No. 11
A plane-wave DFT calculation with PBE with a Hubbard U was carried out for crystalline BaNdMnCoO6 at its relaxed geometry.

Properties
**Final energy**: -6.97 eV/atom
**Magnetization**: 14.0 μB per cell
**Formation enthalpy at 0 K**: -2.4461 eV/atom

Lattice parameters (Å, degrees): 5.5828 5.5828 7.8057 90.00 90.00 90.36
Atoms (fractional coordinates):
Ba  0.2487  0.7513  0.9970
Ba  0.7513  0.2487  0.9970
Nd  0.2416  0.7584  0.5037
Nd  0.7584  0.2416  0.5037
Mn  0.7500  0.7500  0.2552
Mn  0.2500  0.2500  0.2552
Co  0.2521  0.2521  0.7483
Co  0.7479  0.7479  0.7483
O  0.2554  0.2554  0.9984
O  0.7446  0.7446  0.9984
O  0.5000  0.5000  0.7118
O  0.5000  0.5000  0.2870
O  0.0000  0.0000  0.7398
O  0.0000  0.0000  0.2613
O  0.5000  0.0000  0.7240
O  0.0000  0.5000  0.2746
O  0.5000  0.0000  0.2746
O  0.0000  0.5000  0.7240
O  0.2279  0.2279  0.4988
O  0.7721  0.7721  0.4988

=====

No. 12
A plane-wave DFT calculation with PBE with a Hubbard U was carried out for crystalline Li9Mn2Co5O16 at its relaxed geometry.

Properties
**Final energy**: -5.65 eV/atom
**Magnetization**: 1.0 μB per cell
**Formation enthalpy at 0 K**: -1.6565 eV/atom

Lattice parameters (Å, degrees): 6.5650 6.5650 15.4695 88.49 88.49 25.89
Atoms (fractional coordinates):
Li  0.8147  0.8147  0.5694
Li  0.1853  0.1853  0.4306
Li  0.5613  0.5613  0.3088
Li  0.4387  0.4387  0.6912
Li  0.0609  0.0609  0.8215
Li  0.6846  0.6846  0.9394
Li  0.9391  0.9391  0.1785
Li  0.3154  0.3154  0.0606
Li  0.0000  0.0000  0.0000
Mn  0.1274  0.1274  0.6249
Mn  0.8726  0.8726  0.3751
Co  0.5000  0.5000  0.5000
Co  0.2435  0.2435  0.2433
Co  0.6160  0.6160  0.1171
Co  0.3840  0.3840  0.8829
Co  0.7565  0.7565  0.7567
O  0.6567  0.6567  0.5427
O  0.0191  0.0191  0.4075
O  0.3982  0.3982  0.2935
O  0.2718  0.2718  0.6588
O  0.8989  0.8989  0.7817
O  0.5218  0.5218  0.9023
O  0.7807  0.7807  0.1620
O  0.1564  0.1564  0.0404
O  0.9809  0.9809  0.5925
O  0.3433  0.3433  0.4573
O  0.7282  0.7282  0.3412
O  0.6018  0.6018  0.7065
O  0.2193  0.2193  0.8380
O  0.8436  0.8436  0.9596
O  0.1011  0.1011  0.2183
O  0.4782  0.4782  0.0977

=====

No. 13
A plane-wave DFT calculation with PBE with a Hubbard U was carried out for crystalline Zn2MoSeO7 at its relaxed geometry.

Properties
**Final energy**: -5.68 eV/atom
**Magnetization**: 0.0 μB per cell
**Formation enthalpy at 0 K**: -1.7308 eV/atom

Lattice parameters (Å, degrees): 8.4901 5.2500 7.2688 81.52 90.00 90.00
Atoms (fractional coordinates):
Zn  0.4566  0.9372  0.5085
Zn  0.9566  0.0628  0.4915
Zn  0.6364  0.5344  0.2264
Zn  0.1364  0.4656  0.7736
Mo  0.4687  0.0742  0.9850
Mo  0.9687  0.9258  0.0150
Se  0.7590  0.5424  0.6178
Se  0.2590  0.4576  0.3822
O  0.9388  0.7046  0.6237
O  0.4388  0.2954  0.3763
O  0.6616  0.7642  0.4543
O  0.1616  0.2358  0.5457
O  0.4506  0.8013  0.1704
O  0.9506  0.1987  0.8296
O  0.7922  0.3373  0.4520
O  0.2922  0.6627  0.5480
O  0.6221  0.2826  0.0457
O  0.1221  0.7174  0.9543
O  0.2882  0.2505  0.9538
O  0.7882  0.7495  0.0462
O  0.5185  0.9732  0.7674
O  0.0185  0.0268  0.2326